The following is a DFT calculation (PBE) of an optimized crystal structure of NaY2Al2PS5O24.

Output
Energy of formation from the pure elements: -2552 meV/atom
Crystal system: triclinic

```
NaY2Al2PS5O24
1.0
8.6665 0.0000 0.0000
4.3085 7.5200 0.0000
0.0315 -0.0030 23.0671
Na Y Al P S O
3 6 6 3 15 72
direct
0.0000 0.0000 0.0000 Na
0.0251 0.9995 0.4889 Na
0.3464 0.3456 0.8355 Na
0.0069 0.9961 0.8554 Y
0.0192 0.9971 0.6347 Y
0.3472 0.3245 0.6721 Y
0.3470 0.3394 0.9859 Y
0.6863 0.6575 0.0298 Y
0.6861 0.6594 0.8119 Y
0.0124 0.9984 0.1599 Al
0.0133 0.9973 0.3468 Al
0.3437 0.3266 0.4735 Al
0.3477 0.3310 0.1922 Al
0.6753 0.6711 0.5072 Al
0.6799 0.6645 0.3132 Al
0.3628 0.0280 0.5645 P
0.6789 0.3658 0.9199 P
0.9808 0.6622 0.9198 P
0.0106 0.7103 0.2536 S
0.0211 0.2935 0.7453 S
0.0439 0.6166 0.5644 S
0.0707 0.3053 0.0976 S
0.3034 0.9953 0.2539 S
0.3113 0.6942 0.7448 S
0.3224 0.6359 0.0985 S
0.3850 0.9621 0.9201 S
0.3909 0.6655 0.4093 S
0.6308 0.3488 0.5644 S
0.6487 0.0523 0.0977 S
0.6857 0.9499 0.4092 S
0.7087 0.0045 0.7434 S
0.7262 0.2879 0.2537 S
0.9649 0.3776 0.4098 S
0.0117 0.8216 0.9240 O
0.0156 0.7992 0.5682 O
0.0253 0.1939 0.6926 O
0.0318 0.1953 0.7987 O
0.0528 0.1447 0.1081 O
0.0555 0.7885 0.3042 O
0.1143 0.5241 0.6198 O
0.1424 0.3570 0.4204 O
0.1602 0.8123 0.1090 O
0.1608 0.4887 0.9185 O
0.1653 0.5311 0.2415 O
0.1656 0.3325 0.1467 O
0.1704 0.2710 0.0430 O
0.1719 0.5275 0.5161 O
0.1775 0.3185 0.7450 O
0.1805 0.0395 0.3047 O
0.1963 0.0043 0.5682 O
0.2085 0.9772 0.9224 O
0.2103 0.7900 0.6923 O
0.2100 0.8297 0.3997 O
0.2127 0.7821 0.7983 O
0.2235 0.9527 0.2037 O
0.2869 0.5715 0.0437 O
0.3284 0.1502 0.2421 O
0.3280 0.1624 0.5148 O
0.3338 0.5141 0.7440 O
0.3507 0.5121 0.1470 O
0.3665 0.5108 0.4203 O
0.3667 0.1394 0.9201 O
0.3850 0.1016 0.6228 O
0.4700 0.7074 0.4599 O
0.4739 0.8759 0.8654 O
0.4783 0.6579 0.0933 O
0.4794 0.8360 0.2661 O
0.4817 0.8654 0.9724 O
0.4834 0.6862 0.7435 O
0.5068 0.6300 0.3578 O
0.5213 0.3312 0.9183 O
0.5282 0.1484 0.1469 O
0.5299 0.8501 0.5529 O
0.5307 0.1651 0.7440 O
0.5321 0.1282 0.4203 O
0.5355 0.3210 0.5156 O
0.5348 0.3772 0.6196 O
0.5463 0.3125 0.2420 O
0.5839 0.1519 0.0431 O
0.6482 0.8699 0.3580 O
0.6495 0.5058 0.5541 O
0.6650 0.4706 0.9756 O
0.6659 0.8764 0.0929 O
0.6720 0.4624 0.8633 O
0.6933 0.8445 0.7429 O
0.7097 0.4642 0.2658 O
0.7309 0.8277 0.4596 O
0.7981 0.0142 0.7966 O
0.8043 0.1652 0.3043 O
0.8049 0.0068 0.6907 O
0.8080 0.1873 0.5685 O
0.8274 0.0350 0.1077 O
0.8436 0.4556 0.4603 O
0.8480 0.2087 0.2032 O
0.8494 0.9679 0.3989 O
0.8514 0.6926 0.2660 O
0.8539 0.1879 0.9229 O
0.8580 0.4662 0.7433 O
0.8750 0.6208 0.5536 O
0.8783 0.6651 0.9747 O
0.8850 0.4924 0.3582 O
0.8856 0.6730 0.8625 O
0.8939 0.4628 0.0930 O
0.9667 0.8331 0.2034 O
0.9848 0.1949 0.4001 O
```